Entry 1:
Eu2SiO4: relaxed, r2SCAN.

symmetry = P2_1/c (14)
ΔE to the lowest computed polymorph = 0 meV per atom
crystal system = monoclinic
calculated formation energy = -3255 meV/atom

Cell: 5.6556 7.0798 10.9172 Å, 90.00 117.57 90.00°
Fractional coordinates of all 28 atoms:
Eu  0.0244  0.9999  0.3018
Eu  0.0244  0.5001  0.8018
Eu  0.3103  0.1574  0.0762
Eu  0.3103  0.3426  0.5762
Eu  0.6897  0.6574  0.4238
Eu  0.6897  0.8426  0.9238
Eu  0.9756  0.0001  0.6982
Eu  0.9756  0.4999  0.1982
Si  0.3404  0.7203  0.0818
Si  0.3404  0.7797  0.5818
Si  0.6596  0.2203  0.4182
Si  0.6596  0.2797  0.9182
O  0.1502  0.6764  0.6390
O  0.1502  0.8236  0.1390
O  0.2520  0.6827  0.4292
O  0.2520  0.8173  0.9292
O  0.2872  0.0053  0.5686
O  0.2872  0.4947  0.0686
O  0.3446  0.2358  0.8181
O  0.3446  0.2642  0.3181
O  0.6554  0.7358  0.6819
O  0.6554  0.7642  0.1819
O  0.7128  0.5053  0.9314
O  0.7128  0.9947  0.4314
O  0.7480  0.1827  0.0708
O  0.7480  0.3173  0.5708
O  0.8498  0.1764  0.8610
O  0.8498  0.3236  0.3610


Entry 2:
Lu2Mo3O12: relaxed, r2SCAN.

symmetry = Pbcn (60)
crystal system = orthorhombic
calculated formation energy = -2787 meV/atom

Cell: 13.6271 9.8199 9.9134 Å, 90.00 90.00 90.00°
Fractional coordinates of all 68 atoms:
Lu  0.1189  0.2492  0.0338
Lu  0.1189  0.7508  0.5338
Lu  0.3811  0.2508  0.5338
Lu  0.3811  0.7492  0.0338
Lu  0.6189  0.2508  0.9662
Lu  0.6189  0.7492  0.4662
Lu  0.8811  0.2492  0.4662
Lu  0.8811  0.7508  0.9662
Mo  0.0000  0.0264  0.7500
Mo  0.0000  0.9736  0.2500
Mo  0.1440  0.3953  0.3824
Mo  0.1440  0.6047  0.8824
Mo  0.3560  0.1047  0.8824
Mo  0.3560  0.8953  0.3824
Mo  0.5000  0.4736  0.2500
Mo  0.5000  0.5264  0.7500
Mo  0.6440  0.1047  0.6176
Mo  0.6440  0.8953  0.1176
Mo  0.8560  0.3953  0.1176
Mo  0.8560  0.6047  0.6176
O  0.0296  0.3249  0.4258
O  0.0296  0.6751  0.9258
O  0.0613  0.1295  0.8681
O  0.0613  0.8705  0.3681
O  0.0860  0.0777  0.1667
O  0.0860  0.9223  0.6667
O  0.1412  0.4273  0.9079
O  0.1412  0.5727  0.4079
O  0.1682  0.3611  0.2112
O  0.1682  0.6389  0.7112
O  0.2358  0.3225  0.4845
O  0.2358  0.6775  0.9845
O  0.2642  0.1775  0.9845
O  0.2642  0.8225  0.4845
O  0.3318  0.1389  0.7112
O  0.3318  0.8611  0.2112
O  0.3588  0.0727  0.4079
O  0.3588  0.9273  0.9079
O  0.4140  0.4223  0.6667
O  0.4140  0.5777  0.1667
O  0.4387  0.3705  0.3681
O  0.4387  0.6295  0.8681
O  0.4704  0.1751  0.9258
O  0.4704  0.8249  0.4258
O  0.5296  0.1751  0.5742
O  0.5296  0.8249  0.0742
O  0.5613  0.3705  0.1319
O  0.5613  0.6295  0.6319
O  0.5860  0.4223  0.8333
O  0.5860  0.5777  0.3333
O  0.6412  0.0727  0.0921
O  0.6412  0.9273  0.5921
O  0.6682  0.1389  0.7888
O  0.6682  0.8611  0.2888
O  0.7358  0.1775  0.5155
O  0.7358  0.8225  0.0155
O  0.7642  0.3225  0.0155
O  0.7642  0.6775  0.5155
O  0.8318  0.3611  0.2888
O  0.8318  0.6389  0.7888
O  0.8588  0.4273  0.5921
O  0.8588  0.5727  0.0921
O  0.9140  0.0777  0.3333
O  0.9140  0.9223  0.8333
O  0.9387  0.1295  0.6319
O  0.9387  0.8705  0.1319
O  0.9704  0.3249  0.0742
O  0.9704  0.6751  0.5742


Which of these has the lowest calculated formation energy? Eu2SiO4


What is the formula in the second record? Lu2Mo3O12


What is the formula in the first record? Eu2SiO4


The highest calculated formation energy belongs to which entry? Lu2Mo3O12